A:
A plane-wave DFT calculation with PBE was carried out for a relaxed structure of KLi2H3O3.

Summary:
Its crystal system is monoclinic. The space group is No. 11.

Cell: 5.1646 5.7819 6.3224 Å, 103.14 90.00 90.00°
Fractional positions:
1 K 0.7500 0.8437 0.7444
2 K 0.2500 0.1563 0.2556
3 Li 0.4952 0.3465 0.8227
4 Li 0.9952 0.6535 0.1773
5 Li 0.5048 0.6535 0.1773
6 Li 0.0048 0.3465 0.8227
7 H 0.7500 0.2299 0.1136
8 H 0.2500 0.7701 0.8864
9 H 0.7500 0.0190 0.3376
10 H 0.2500 0.9810 0.6624
11 H 0.7500 0.3793 0.4656
12 H 0.2500 0.6207 0.5344
13 O 0.7500 0.3848 0.0739
14 O 0.2500 0.6152 0.9261
15 O 0.7500 0.9167 0.1912
16 O 0.2500 0.0833 0.8088
17 O 0.7500 0.3189 0.5964
18 O 0.2500 0.6811 0.4036

=====

B:
A plane-wave DFT calculation with PBE was carried out for a relaxed structure of KLi2H3O3.

Summary:
Its crystal system is monoclinic. The space group is No. 11.

Cell: 5.7029 6.1452 7.4395 Å, 75.12 90.00 90.00°
Fractional positions:
1 K 0.2500 0.7346 0.4813
2 K 0.7500 0.2654 0.5187
3 Li 0.5440 0.6621 0.8547
4 Li 0.9560 0.6621 0.8547
5 Li 0.4560 0.3379 0.1453
6 Li 0.0440 0.3379 0.1453
7 H 0.2500 0.2572 0.8393
8 H 0.7500 0.7428 0.1607
9 H 0.2500 0.1547 0.8021
10 H 0.7500 0.8453 0.1979
11 H 0.7500 0.3876 0.9181
12 H 0.2500 0.6124 0.0819
13 O 0.7500 0.8490 0.6902
14 O 0.2500 0.1510 0.3098
15 O 0.7500 0.6147 0.6542
16 O 0.7500 0.4218 0.0401
17 O 0.2500 0.3853 0.3458
18 O 0.2500 0.5782 0.9599

=====

C:
A plane-wave DFT calculation with PBE was carried out for a relaxed structure of KLi2H3O3.

Summary:
Its crystal system is monoclinic. The space group is No. 11.

Cell: 5.5285 5.6777 7.3670 Å, 83.63 90.00 90.00°
Fractional positions:
1 K 0.2500 0.7671 0.4870
2 K 0.7500 0.2329 0.5130
3 Li 0.5494 0.6090 0.8476
4 Li 0.9506 0.6090 0.8476
5 Li 0.4506 0.3910 0.1524
6 Li 0.0494 0.3910 0.1524
7 H 0.2500 0.2136 0.8281
8 H 0.7500 0.7864 0.1719
9 H 0.2500 0.0900 0.8010
10 H 0.7500 0.9100 0.1990
11 H 0.7500 0.2302 0.9844
12 H 0.2500 0.7698 0.0156
13 O 0.7500 0.8547 0.7440
14 O 0.2500 0.1453 0.2560
15 O 0.7500 0.6461 0.6278
16 O 0.7500 0.3886 0.0234
17 O 0.2500 0.3539 0.3722
18 O 0.2500 0.6114 0.9766

=====

Order of stability, best first: A, C, B

=====

A:
A plane-wave DFT calculation with PBE was carried out for a relaxed structure of K4LiH3S4O16.

Summary:
Its crystal system is tetragonal. The space group is No. 76.

Cell: 7.5084 7.5084 29.0677 Å, 90.00 90.00 90.00°
Fractional positions:
1 K 0.0141 0.4904 0.7740
2 K 0.9859 0.5096 0.2740
3 K 0.4904 0.9859 0.5240
4 K 0.5096 0.0141 0.0240
5 K 0.4001 0.3743 0.6478
6 K 0.5999 0.6257 0.1478
7 K 0.3743 0.5999 0.3978
8 K 0.6257 0.4001 0.8978
9 K 0.9202 0.9031 0.8841
10 K 0.0798 0.0969 0.3841
11 K 0.9031 0.0798 0.6341
12 K 0.0969 0.9202 0.1341
13 K 0.5066 0.7871 0.7836
14 K 0.4934 0.2129 0.2836
15 K 0.7871 0.4934 0.5336
16 K 0.2129 0.5066 0.0336
17 Li 0.2643 0.1485 0.8346
18 Li 0.7357 0.8515 0.3346
19 Li 0.1485 0.7357 0.5846
20 Li 0.8515 0.2643 0.0846
21 H 0.7046 0.6942 0.6912
22 H 0.2954 0.3058 0.1912
23 H 0.6942 0.2954 0.4412
24 H 0.3058 0.7046 0.9412
25 H 0.2154 0.9421 0.7064
26 H 0.7846 0.0579 0.2064
27 H 0.9421 0.7846 0.4564
28 H 0.0579 0.2154 0.9564
29 H 0.7223 0.1848 0.7299
30 H 0.2777 0.8152 0.2299
31 H 0.1848 0.2777 0.4799
32 H 0.8152 0.7223 0.9799
33 S 0.8950 0.5438 0.6499
34 S 0.1050 0.4562 0.1499
35 S 0.5438 0.1050 0.3999
36 S 0.4562 0.8950 0.8999
37 S 0.4287 0.8901 0.6512
38 S 0.5713 0.1099 0.1512
39 S 0.8901 0.5713 0.4012
40 S 0.1099 0.4287 0.9012
41 S 0.9905 0.9807 0.7669
42 S 0.0095 0.0193 0.2669
43 S 0.9807 0.0095 0.5169
44 S 0.0193 0.9905 0.0169
45 S 0.5240 0.3253 0.7719
46 S 0.4760 0.6747 0.2719
47 S 0.3253 0.4760 0.5219
48 S 0.6747 0.5240 0.0219
49 O 0.8170 0.6203 0.6966
50 O 0.1830 0.3797 0.1966
51 O 0.6203 0.1830 0.4466
52 O 0.3797 0.8170 0.9466
53 O 0.7574 0.4312 0.6287
54 O 0.2426 0.5688 0.1287
55 O 0.4312 0.2426 0.3787
56 O 0.5688 0.7574 0.8787
57 O 0.0513 0.4432 0.6642
58 O 0.9487 0.5568 0.1642
59 O 0.4432 0.9487 0.4142
60 O 0.5568 0.0513 0.9142
61 O 0.9355 0.6997 0.6208
62 O 0.0645 0.3003 0.1208
63 O 0.6997 0.0645 0.3708
64 O 0.3003 0.9355 0.8708
65 O 0.2648 0.9894 0.6719
66 O 0.7352 0.0106 0.1719
67 O 0.9894 0.7352 0.4219
68 O 0.0106 0.2648 0.9219
69 O 0.3640 0.7483 0.6202
70 O 0.6360 0.2517 0.1202
71 O 0.7483 0.6360 0.3702
72 O 0.2517 0.3640 0.8702
73 O 0.5282 0.8124 0.6903
74 O 0.4718 0.1876 0.1903
75 O 0.8124 0.4718 0.4403
76 O 0.1876 0.5282 0.9403
77 O 0.5302 0.0252 0.6258
78 O 0.4698 0.9748 0.1258
79 O 0.0252 0.4698 0.3758
80 O 0.9748 0.5302 0.8758
81 O 0.0456 0.1147 0.8018
82 O 0.9544 0.8853 0.3018
83 O 0.1147 0.9544 0.5518
84 O 0.8853 0.0456 0.0518
85 O 0.8791 0.8432 0.7888
86 O 0.1209 0.1568 0.2888
87 O 0.8432 0.1209 0.5388
88 O 0.1568 0.8791 0.0388
89 O 0.8972 0.0724 0.7282
90 O 0.1028 0.9276 0.2282
91 O 0.0724 0.1028 0.4782
92 O 0.9276 0.8972 0.9782
93 O 0.1550 0.8898 0.7471
94 O 0.8450 0.1102 0.2471
95 O 0.8898 0.8450 0.4971
96 O 0.1102 0.1550 0.9971
97 O 0.6575 0.4342 0.7959
98 O 0.3425 0.5658 0.2959
99 O 0.4342 0.3425 0.5459
100 O 0.5658 0.6575 0.0459
101 O 0.6086 0.2589 0.7249
102 O 0.3914 0.7411 0.2249
103 O 0.2589 0.3914 0.4749
104 O 0.7411 0.6086 0.9749
105 O 0.4785 0.1639 0.7983
106 O 0.5215 0.8361 0.2983
107 O 0.1639 0.5215 0.5483
108 O 0.8361 0.4785 0.0483
109 O 0.3689 0.4284 0.7572
110 O 0.6311 0.5716 0.2572
111 O 0.4284 0.6311 0.5072
112 O 0.5716 0.3689 0.0072

=====

B:
A plane-wave DFT calculation with PBE was carried out for a relaxed structure of K4LiH3S4O16.

Summary:
Its crystal system is tetragonal. The space group is No. 76.

Cell: 7.4583 7.4583 31.2949 Å, 90.00 90.00 90.00°
Fractional positions:
1 K 0.4025 0.6110 0.0013
2 K 0.5975 0.3890 0.5013
3 K 0.6110 0.5975 0.7513
4 K 0.3890 0.4025 0.2513
5 K 0.8022 0.4994 0.8956
6 K 0.1978 0.5006 0.3956
7 K 0.4994 0.1978 0.6456
8 K 0.5006 0.8022 0.1456
9 K 0.8905 0.9252 0.9915
10 K 0.1095 0.0748 0.4915
11 K 0.9252 0.1095 0.7415
12 K 0.0748 0.8905 0.2415
13 K 0.4935 0.0142 0.8813
14 K 0.5065 0.9858 0.3813
15 K 0.0142 0.5065 0.6313
16 K 0.9858 0.4935 0.1313
17 Li 0.1517 0.2669 0.9409
18 Li 0.8483 0.7331 0.4409
19 Li 0.2669 0.8483 0.6909
20 Li 0.7331 0.1517 0.1909
21 H 0.7229 0.2981 0.0453
22 H 0.2771 0.7019 0.5453
23 H 0.2981 0.2771 0.7953
24 H 0.7019 0.7229 0.2953
25 H 0.2138 0.7586 0.8505
26 H 0.7862 0.2414 0.3505
27 H 0.7586 0.7862 0.6005
28 H 0.2414 0.2138 0.1005
29 H 0.2240 0.0286 0.0512
30 H 0.7760 0.9714 0.5512
31 H 0.0286 0.7760 0.8012
32 H 0.9714 0.2240 0.3012
33 S 0.9004 0.4599 0.0062
34 S 0.0996 0.5401 0.5062
35 S 0.4599 0.0996 0.7562
36 S 0.5401 0.9004 0.2562
37 S 0.4433 0.0900 0.0022
38 S 0.5567 0.9100 0.5022
39 S 0.0900 0.5567 0.7522
40 S 0.9100 0.4433 0.2522
41 S 0.9735 0.9949 0.8766
42 S 0.0265 0.0051 0.3766
43 S 0.9949 0.0265 0.6266
44 S 0.0051 0.9735 0.1266
45 S 0.3479 0.5427 0.8879
46 S 0.6521 0.4573 0.3879
47 S 0.5427 0.6521 0.6379
48 S 0.4573 0.3479 0.1379
49 O 0.9430 0.3039 0.9788
50 O 0.0570 0.6961 0.4788
51 O 0.3039 0.0570 0.7288
52 O 0.6961 0.9430 0.2288
53 O 0.8267 0.3830 0.0499
54 O 0.1733 0.6170 0.5499
55 O 0.3830 0.1733 0.7999
56 O 0.6170 0.8267 0.2999
57 O 0.7582 0.5697 0.9868
58 O 0.2418 0.4303 0.4868
59 O 0.5697 0.2418 0.7368
60 O 0.4303 0.7582 0.2368
61 O 0.0555 0.5656 0.0193
62 O 0.9445 0.4344 0.5193
63 O 0.5656 0.9445 0.7693
64 O 0.4344 0.0555 0.2693
65 O 0.3575 0.2456 0.9816
66 O 0.6425 0.7544 0.4816
67 O 0.2456 0.6425 0.7316
68 O 0.7544 0.3575 0.2316
69 O 0.5750 0.1403 0.0346
70 O 0.4250 0.8597 0.5346
71 O 0.1403 0.4250 0.7846
72 O 0.8597 0.5750 0.2846
73 O 0.2876 0.9753 0.0251
74 O 0.7124 0.0247 0.5251
75 O 0.9753 0.7124 0.7751
76 O 0.0247 0.2876 0.2751
77 O 0.5139 0.9596 0.9716
78 O 0.4861 0.0404 0.4716
79 O 0.9596 0.4861 0.7216
80 O 0.0404 0.5139 0.2216
81 O 0.1067 0.0492 0.9099
82 O 0.8933 0.9508 0.4099
83 O 0.0492 0.8933 0.6599
84 O 0.9508 0.1067 0.1599
85 O 0.8780 0.1508 0.8586
86 O 0.1220 0.8492 0.3586
87 O 0.1508 0.1220 0.6086
88 O 0.8492 0.8780 0.1086
89 O 0.0808 0.9024 0.8410
90 O 0.9192 0.0976 0.3410
91 O 0.9024 0.9192 0.5910
92 O 0.0976 0.0808 0.0910
93 O 0.8451 0.8636 0.8951
94 O 0.1549 0.1364 0.3951
95 O 0.8636 0.1549 0.6451
96 O 0.1364 0.8451 0.1451
97 O 0.1724 0.4906 0.9061
98 O 0.8276 0.5094 0.4061
99 O 0.4906 0.8276 0.6561
100 O 0.5094 0.1724 0.1561
101 O 0.3129 0.6605 0.8469
102 O 0.6871 0.3395 0.3469
103 O 0.6605 0.6871 0.5969
104 O 0.3395 0.3129 0.0969
105 O 0.4507 0.6567 0.9174
106 O 0.5493 0.3433 0.4174
107 O 0.6567 0.5493 0.6674
108 O 0.3433 0.4507 0.1674
109 O 0.4525 0.3900 0.8724
110 O 0.5475 0.6100 0.3724
111 O 0.3900 0.5475 0.6224
112 O 0.6100 0.4525 0.1224

=====

Order of stability, best first: A, B

=====

A:
A plane-wave DFT calculation with PBE was carried out for a relaxed structure of K2MgZn4P4H2O16.

Summary:
Its crystal system is triclinic. The space group is No. 2.

Cell: 5.2766 9.1057 9.6297 Å, 99.13 99.77 107.00°
Fractional positions:
1 K 0.3934 0.6942 0.6566
2 K 0.6066 0.3058 0.3434
3 Mg 0.5000 0.5000 0.0000
4 Zn 0.2239 0.6128 0.2209
5 Zn 0.7761 0.3872 0.7791
6 Zn 0.6815 0.8856 0.1114
7 Zn 0.3185 0.1144 0.8886
8 P 0.0886 0.7613 0.9422
9 P 0.9114 0.2387 0.0578
10 P 0.8424 0.7518 0.3938
11 P 0.1576 0.2482 0.6062
12 H 0.9787 0.9320 0.6044
13 H 0.0213 0.0680 0.3956
14 O 0.9441 0.3997 0.1538
15 O 0.0559 0.6003 0.8462
16 O 0.2729 0.7816 0.0978
17 O 0.7271 0.2184 0.9022
18 O 0.7519 0.1100 0.1265
19 O 0.2481 0.8900 0.8735
20 O 0.8048 0.7715 0.9573
21 O 0.1952 0.2285 0.0427
22 O 0.5744 0.6120 0.3426
23 O 0.4256 0.3880 0.6574
24 O 0.8436 0.8886 0.3152
25 O 0.1564 0.1114 0.6848
26 O 0.0908 0.6978 0.3882
27 O 0.9092 0.3022 0.6118
28 O 0.8584 0.8189 0.5603
29 O 0.1416 0.1811 0.4397

=====

B:
A plane-wave DFT calculation with PBE was carried out for a relaxed structure of K2MgZn4P4H2O16.

Summary:
Its crystal system is triclinic. The space group is No. 2.

Cell: 5.4219 9.1544 9.6122 Å, 97.09 101.63 108.45°
Fractional positions:
1 K 0.4051 0.6817 0.6892
2 K 0.5949 0.3183 0.3108
3 Mg 0.5000 0.0000 0.5000
4 Zn 0.2168 0.6162 0.2299
5 Zn 0.7832 0.3838 0.7701
6 Zn 0.6899 0.8881 0.1114
7 Zn 0.3101 0.1119 0.8886
8 P 0.0863 0.7580 0.9483
9 P 0.9137 0.2420 0.0517
10 P 0.8425 0.7440 0.3901
11 P 0.1575 0.2560 0.6099
12 H 0.9696 0.9138 0.6005
13 H 0.0304 0.0862 0.3995
14 O 0.9769 0.4003 0.1530
15 O 0.0231 0.5997 0.8470
16 O 0.2912 0.7661 0.0967
17 O 0.7088 0.2339 0.9033
18 O 0.7525 0.1110 0.1203
19 O 0.2475 0.8890 0.8797
20 O 0.8266 0.7773 0.9751
21 O 0.1734 0.2227 0.0249
22 O 0.5708 0.6105 0.3263
23 O 0.4292 0.3895 0.6737
24 O 0.8723 0.8877 0.3158
25 O 0.1277 0.1123 0.6842
26 O 0.0745 0.6805 0.3928
27 O 0.9255 0.3195 0.6072
28 O 0.8513 0.8016 0.5568
29 O 0.1487 0.1984 0.4432

=====

Order of stability, best first: A, B